# 1
# Li4TiV3O8 (PBE+U, optimized geometry)
data_Li4TiV3O8
_chemical_formula_sum 'Li4 Ti1 V3 O8'
_symmetry_space_group_name_H-M 'P 1'
_symmetry_Int_Tables_number 1
_cell_length_a 5.8436
_cell_length_b 5.8436
_cell_length_c 8.3685
_cell_angle_alpha 45.76
_cell_angle_beta 45.76
_cell_angle_gamma 59.88
loop_
_symmetry_equiv_pos_as_xyz
'x,y,z'
loop_
_atom_site_label
_atom_site_type_symbol
_atom_site_fract_x
_atom_site_fract_y
_atom_site_fract_z
Li1 Li 0.4940 0.5060 0.5000
Li2 Li 0.4911 0.0158 0.4953
Li3 Li 0.9842 0.5089 0.5047
Li4 Li 0.9926 0.0074 0.5000
Ti1 Ti 0.9979 0.0021 0.0000
V1 V 0.4923 0.5077 0.0000
V2 V 0.4954 0.0023 0.0008
V3 V 0.9977 0.5046 0.9992
O1 O 0.0042 0.0136 0.2335
O2 O 0.0008 0.5182 0.2367
O3 O 0.5113 0.0152 0.2322
O4 O 0.4835 0.4901 0.7694
O5 O 0.5099 0.5165 0.2306
O6 O 0.4818 0.9992 0.7633
O7 O 0.9848 0.4887 0.7678
O8 O 0.9864 0.9958 0.7665
# - Volume: 9.2 Å³ per atom
# - Crystal system: monoclinic
# - Total magnetization: 7.0 μB per formula unit
# - DFT total energy: -7.078 eV/atom

***

# 2
# Li2Cr3FeO8 (PBE+U, optimized geometry)
data_Li2Cr3FeO8
_chemical_formula_sum 'Li8 Cr12 Fe4 O32'
_symmetry_space_group_name_H-M 'P 1'
_symmetry_Int_Tables_number 1
_cell_length_a 8.3805
_cell_length_b 8.3996
_cell_length_c 8.4171
_cell_angle_alpha 90.26
_cell_angle_beta 90.09
_cell_angle_gamma 90.23
loop_
_symmetry_equiv_pos_as_xyz
'x,y,z'
loop_
_atom_site_label
_atom_site_type_symbol
_atom_site_fract_x
_atom_site_fract_y
_atom_site_fract_z
Li1 Li 0.0013 0.0036 0.9998
Li2 Li 0.7479 0.7508 0.2537
Li3 Li 0.7525 0.2513 0.7526
Li4 Li 0.4986 0.9967 0.4978
Li5 Li 0.4993 0.4976 0.0011
Li6 Li 0.2509 0.7529 0.7503
Li7 Li 0.2510 0.2482 0.2493
Li8 Li 0.9975 0.4991 0.4994
Cr1 Cr 0.8754 0.8771 0.6251
Cr2 Cr 0.8740 0.6278 0.8746
Cr3 Cr 0.8781 0.3708 0.1235
Cr4 Cr 0.6254 0.6214 0.6239
Cr5 Cr 0.6231 0.3721 0.3760
Cr6 Cr 0.6251 0.1250 0.1275
Cr7 Cr 0.3762 0.6243 0.3730
Cr8 Cr 0.3727 0.8775 0.1255
Cr9 Cr 0.3724 0.1251 0.8784
Cr10 Cr 0.1268 0.8794 0.3696
Cr11 Cr 0.1237 0.1256 0.6246
Cr12 Cr 0.1254 0.3742 0.8764
Fe1 Fe 0.8769 0.1250 0.3734
Fe2 Fe 0.6250 0.8747 0.8771
Fe3 Fe 0.3726 0.3766 0.6217
Fe4 Fe 0.1251 0.6255 0.1243
O1 O 0.8867 0.8968 0.3863
O2 O 0.8932 0.1177 0.6166
O3 O 0.8933 0.3947 0.8847
O4 O 0.8695 0.8538 0.8641
O5 O 0.8924 0.6107 0.1143
O6 O 0.8578 0.6366 0.6381
O7 O 0.8649 0.3529 0.3623
O8 O 0.8604 0.1335 0.1336
O9 O 0.6340 0.8553 0.6393
O10 O 0.6470 0.6294 0.8652
O11 O 0.6390 0.3531 0.1352
O12 O 0.6172 0.3942 0.6157
O13 O 0.6362 0.1291 0.3565
O14 O 0.6153 0.6098 0.3893
O15 O 0.6067 0.8912 0.1199
O16 O 0.6147 0.1143 0.8979
O17 O 0.3946 0.6180 0.6135
O18 O 0.3854 0.3854 0.3888
O19 O 0.3887 0.1121 0.1156
O20 O 0.3565 0.6392 0.1321
O21 O 0.3852 0.8861 0.8969
O22 O 0.3658 0.8632 0.3525
O23 O 0.3527 0.1355 0.6370
O24 O 0.3528 0.3649 0.8637
O25 O 0.1321 0.6427 0.3564
O26 O 0.1432 0.8709 0.1316
O27 O 0.1336 0.1395 0.8606
O28 O 0.1145 0.1170 0.3896
O29 O 0.1270 0.3592 0.6440
O30 O 0.1157 0.8963 0.6085
O31 O 0.1090 0.6132 0.8885
O32 O 0.1177 0.3813 0.1034
# - Volume: 10.6 Å³ per atom
# - Crystal system: triclinic
# - Total magnetization: 12.0 μB per formula unit
# - DFT total energy: -6.909 eV/atom

***

# 3
# Li7Mn5O12 (PBE+U, optimized geometry)
data_Li7Mn5O12
_chemical_formula_sum 'Li14 Mn10 O24'
_symmetry_space_group_name_H-M 'P 1'
_symmetry_Int_Tables_number 1
_cell_length_a 6.9133
_cell_length_b 7.7685
_cell_length_c 8.5996
_cell_angle_alpha 78.97
_cell_angle_beta 102.01
_cell_angle_gamma 87.73
loop_
_symmetry_equiv_pos_as_xyz
'x,y,z'
loop_
_atom_site_label
_atom_site_type_symbol
_atom_site_fract_x
_atom_site_fract_y
_atom_site_fract_z
Li1 Li 0.2500 0.2500 0.1667
Li2 Li 0.7500 0.7500 0.1667
Li3 Li 0.3634 0.8724 0.9186
Li4 Li 0.8634 0.3724 0.9185
Li5 Li 0.6366 0.1276 0.4147
Li6 Li 0.1365 0.6276 0.4146
Li7 Li 0.6387 0.1138 0.0883
Li8 Li 0.1388 0.6138 0.0883
Li9 Li 0.3613 0.8861 0.2449
Li10 Li 0.8613 0.3862 0.2449
Li11 Li 0.6277 0.1201 0.7508
Li12 Li 0.1276 0.6200 0.7508
Li13 Li 0.3724 0.8799 0.5825
Li14 Li 0.8723 0.3799 0.5825
Mn1 Mn 0.5000 0.5000 0.6667
Mn2 Mn 0.0004 0.9997 0.0010
Mn3 Mn 0.9997 0.0002 0.3323
Mn4 Mn 0.2497 0.2499 0.4970
Mn5 Mn 0.7502 0.7501 0.8365
Mn6 Mn 0.9999 0.0000 0.6666
Mn7 Mn 0.5004 0.4998 0.0010
Mn8 Mn 0.4995 0.5003 0.3323
Mn9 Mn 0.7498 0.7499 0.4967
Mn10 Mn 0.2503 0.2500 0.8365
O1 O 0.5630 0.3301 0.8744
O2 O 0.0631 0.8299 0.8746
O3 O 0.4369 0.6701 0.4588
O4 O 0.9370 0.1700 0.4590
O5 O 0.2796 0.0631 0.0294
O6 O 0.7796 0.5631 0.0293
O7 O 0.7204 0.9369 0.3039
O8 O 0.2204 0.4368 0.3041
O9 O 0.3120 0.0796 0.7061
O10 O 0.8119 0.5797 0.7059
O11 O 0.6882 0.9203 0.6273
O12 O 0.1881 0.4203 0.6274
O13 O 0.5617 0.3287 0.5370
O14 O 0.0619 0.8285 0.5370
O15 O 0.4382 0.6715 0.7963
O16 O 0.9383 0.1714 0.7964
O17 O 0.2744 0.0644 0.3753
O18 O 0.7743 0.5644 0.3752
O19 O 0.7256 0.9356 0.9581
O20 O 0.2257 0.4356 0.9581
O21 O 0.5634 0.3341 0.2059
O22 O 0.0634 0.8341 0.2060
O23 O 0.4366 0.6658 0.1274
O24 O 0.9366 0.1659 0.1275
# - Volume: 9.2 Å³ per atom
# - Total magnetization: 0.0 μB per formula unit
# - DFT total energy: -6.395 eV/atom

***

# 4
# Li7Co5O12 (PBE+U, optimized geometry)
data_Li7Co5O12
_chemical_formula_sum 'Li7 Co5 O12'
_symmetry_space_group_name_H-M 'P 1'
_symmetry_Int_Tables_number 1
_cell_length_a 3.0022
_cell_length_b 7.8128
_cell_length_c 10.0689
_cell_angle_alpha 111.87
_cell_angle_beta 90.80
_cell_angle_gamma 99.93
loop_
_symmetry_equiv_pos_as_xyz
'x,y,z'
loop_
_atom_site_label
_atom_site_type_symbol
_atom_site_fract_x
_atom_site_fract_y
_atom_site_fract_z
Li1 Li 0.9992 0.9988 0.7555
Li2 Li 0.6637 0.3335 0.4148
Li3 Li 0.3342 0.6647 0.0791
Li4 Li 0.6658 0.3353 0.9209
Li5 Li 0.3362 0.6665 0.5852
Li6 Li 0.0008 0.0012 0.2445
Li7 Li 0.5000 0.0000 0.0000
Co1 Co 0.8421 0.6807 0.8381
Co2 Co 0.1579 0.3193 0.1619
Co3 Co 0.5000 0.0000 0.5000
Co4 Co 0.1629 0.3346 0.6693
Co5 Co 0.8371 0.6654 0.3307
O1 O 0.4467 0.8212 0.7947
O2 O 0.0740 0.1699 0.4701
O3 O 0.7867 0.4959 0.1359
O4 O 0.0921 0.1862 0.9780
O5 O 0.7410 0.5048 0.6414
O6 O 0.4204 0.8350 0.2992
O7 O 0.5796 0.1650 0.7008
O8 O 0.2590 0.4952 0.3586
O9 O 0.9080 0.8138 0.0220
O10 O 0.2133 0.5041 0.8641
O11 O 0.9260 0.8301 0.5299
O12 O 0.5533 0.1788 0.2053
# - Volume: 9.0 Å³ per atom
# - Crystal system: triclinic
# - Total magnetization: 6.0 μB per formula unit
# - DFT total energy: -5.499 eV/atom

***

# 5
# Li2V5B3O13 (PBE+U, optimized geometry)
data_Li2V5B3O13
_chemical_formula_sum 'Li4 V10 B6 O26'
_symmetry_space_group_name_H-M 'P 1'
_symmetry_Int_Tables_number 1
_cell_length_a 3.2344
_cell_length_b 9.6166
_cell_length_c 15.1214
_cell_angle_alpha 73.53
_cell_angle_beta 90.00
_cell_angle_gamma 90.00
loop_
_symmetry_equiv_pos_as_xyz
'x,y,z'
loop_
_atom_site_label
_atom_site_type_symbol
_atom_site_fract_x
_atom_site_fract_y
_atom_site_fract_z
Li1 Li 0.7500 0.7270 0.7604
Li2 Li 0.2500 0.6165 0.9459
Li3 Li 0.7500 0.3835 0.0541
Li4 Li 0.2500 0.2730 0.2396
V1 V 0.7500 0.8587 0.0032
V2 V 0.7500 0.9593 0.3659
V3 V 0.2500 0.8110 0.2039
V4 V 0.2500 0.6421 0.4357
V5 V 0.2500 0.5218 0.6874
V6 V 0.7500 0.4782 0.3126
V7 V 0.7500 0.3579 0.5643
V8 V 0.7500 0.1890 0.7961
V9 V 0.2500 0.0407 0.6341
V10 V 0.2500 0.1413 0.9968
B1 B 0.2500 0.9126 0.8186
B2 B 0.7500 0.7943 0.5737
B3 B 0.2500 0.4083 0.8832
B4 B 0.7500 0.5917 0.1168
B5 B 0.2500 0.2057 0.4263
B6 B 0.7500 0.0874 0.1814
O1 O 0.2500 0.8341 0.9101
O2 O 0.7500 0.9306 0.5861
O3 O 0.2500 0.8509 0.7479
O4 O 0.7500 0.9366 0.2120
O5 O 0.2500 0.8424 0.3444
O6 O 0.7500 0.7729 0.4863
O7 O 0.7500 0.6699 0.6498
O8 O 0.2500 0.9254 0.0644
O9 O 0.2500 0.5445 0.8220
O10 O 0.2500 0.3797 0.9775
O11 O 0.7500 0.7182 0.1446
O12 O 0.2500 0.6122 0.2941
O13 O 0.2500 0.4892 0.5656
O14 O 0.7500 0.5108 0.4344
O15 O 0.7500 0.3878 0.7059
O16 O 0.2500 0.2818 0.8554
O17 O 0.7500 0.6203 0.0225
O18 O 0.7500 0.4555 0.1780
O19 O 0.7500 0.0746 0.9356
O20 O 0.2500 0.3301 0.3502
O21 O 0.2500 0.2271 0.5137
O22 O 0.7500 0.1576 0.6556
O23 O 0.2500 0.0634 0.7880
O24 O 0.7500 0.1491 0.2521
O25 O 0.2500 0.0694 0.4139
O26 O 0.7500 0.1659 0.0899
# - Volume: 9.8 Å³ per atom
# - Crystal system: monoclinic
# - Total magnetization: 10.0 μB per formula unit
# - DFT total energy: -7.660 eV/atom

***

# 6
# Fe3Ge2O8 (PBE+U, optimized geometry)
data_Fe3Ge2O8
_chemical_formula_sum 'Fe12 Ge8 O32'
_symmetry_space_group_name_H-M 'P 1'
_symmetry_Int_Tables_number 1
_cell_length_a 8.4716
_cell_length_b 8.6272
_cell_length_c 9.3410
_cell_angle_alpha 62.33
_cell_angle_beta 90.00
_cell_angle_gamma 90.00
loop_
_symmetry_equiv_pos_as_xyz
'x,y,z'
loop_
_atom_site_label
_atom_site_type_symbol
_atom_site_fract_x
_atom_site_fract_y
_atom_site_fract_z
Fe1 Fe 0.8834 0.6574 0.6369
Fe2 Fe 0.3593 0.9282 0.1099
Fe3 Fe 0.1149 0.1949 0.1271
Fe4 Fe 0.3834 0.3426 0.8631
Fe5 Fe 0.1166 0.3426 0.3631
Fe6 Fe 0.6407 0.0718 0.8901
Fe7 Fe 0.6149 0.8051 0.3729
Fe8 Fe 0.1407 0.9282 0.6099
Fe9 Fe 0.6166 0.6574 0.1369
Fe10 Fe 0.8851 0.8051 0.8729
Fe11 Fe 0.3851 0.1949 0.6271
Fe12 Fe 0.8593 0.0718 0.3901
Ge1 Ge 0.2483 0.6293 0.9883
Ge2 Ge 0.7483 0.3707 0.5117
Ge3 Ge 0.7517 0.3707 0.0117
Ge4 Ge 0.2517 0.6293 0.4883
Ge5 Ge 0.4803 0.2200 0.2666
Ge6 Ge 0.5197 0.7800 0.7334
Ge7 Ge 0.9803 0.7800 0.2334
Ge8 Ge 0.0197 0.2200 0.7666
O1 O 0.6219 0.0519 0.3646
O2 O 0.6509 0.5660 0.3851
O3 O 0.8491 0.5660 0.8851
O4 O 0.8781 0.0519 0.8646
O5 O 0.1087 0.5916 0.3602
O6 O 0.6271 0.7072 0.6153
O7 O 0.9028 0.9130 0.6271
O8 O 0.0972 0.0870 0.3729
O9 O 0.1193 0.7969 0.8601
O10 O 0.3491 0.4340 0.6149
O11 O 0.8807 0.2031 0.1399
O12 O 0.6087 0.4084 0.1398
O13 O 0.3729 0.2928 0.3847
O14 O 0.8729 0.7072 0.1153
O15 O 0.3687 0.7030 0.0985
O16 O 0.1313 0.7030 0.5985
O17 O 0.4028 0.0870 0.8729
O18 O 0.6313 0.2970 0.9015
O19 O 0.3807 0.7969 0.3601
O20 O 0.3781 0.9481 0.6354
O21 O 0.1396 0.1729 0.6318
O22 O 0.6396 0.8271 0.8682
O23 O 0.8687 0.2970 0.4015
O24 O 0.8604 0.8271 0.3682
O25 O 0.1219 0.9481 0.1354
O26 O 0.1509 0.4340 0.1149
O27 O 0.6193 0.2031 0.6399
O28 O 0.8913 0.4084 0.6398
O29 O 0.1271 0.2928 0.8847
O30 O 0.3604 0.1729 0.1318
O31 O 0.5972 0.9130 0.1271
O32 O 0.3913 0.5916 0.8602
# - Volume: 11.6 Å³ per atom
# - Crystal system: monoclinic
# - Total magnetization: 14.0 μB per formula unit
# - DFT total energy: -6.634 eV/atom

***

# 7
# SrEuYFeO6 (PBE+U, optimized geometry)
data_SrEuYFeO6
_chemical_formula_sum 'Sr1 Eu1 Y1 Fe1 O6'
_symmetry_space_group_name_H-M 'P 1'
_symmetry_Int_Tables_number 1
_cell_length_a 5.7192
_cell_length_b 5.7192
_cell_length_c 5.7192
_cell_angle_alpha 60.00
_cell_angle_beta 60.00
_cell_angle_gamma 60.00
loop_
_symmetry_equiv_pos_as_xyz
'x,y,z'
loop_
_atom_site_label
_atom_site_type_symbol
_atom_site_fract_x
_atom_site_fract_y
_atom_site_fract_z
Sr1 Sr 0.2500 0.2500 0.2500
Eu1 Eu 0.7500 0.7500 0.7500
Y1 Y 0.5000 0.5000 0.5000
Fe1 Fe 0.0000 0.0000 0.0000
O1 O 0.7661 0.2339 0.2339
O2 O 0.2339 0.7661 0.7661
O3 O 0.7661 0.2339 0.7661
O4 O 0.2339 0.7661 0.2339
O5 O 0.7661 0.7661 0.2339
O6 O 0.2339 0.2339 0.7661
# - Volume: 13.2 Å³ per atom
# - Crystal system: cubic
# - Total magnetization: 10.0 μB per formula unit
# - DFT total energy: -7.728 eV/atom

***

# 8
# Li3FeBO5 (PBE+U, optimized geometry)
data_Li3FeBO5
_chemical_formula_sum 'Li12 Fe4 B4 O20'
_symmetry_space_group_name_H-M 'P 1'
_symmetry_Int_Tables_number 1
_cell_length_a 4.7890
_cell_length_b 4.8113
_cell_length_c 16.3351
_cell_angle_alpha 90.00
_cell_angle_beta 90.00
_cell_angle_gamma 90.00
loop_
_symmetry_equiv_pos_as_xyz
'x,y,z'
loop_
_atom_site_label
_atom_site_type_symbol
_atom_site_fract_x
_atom_site_fract_y
_atom_site_fract_z
Li1 Li 0.3138 0.9919 0.6116
Li2 Li 0.8138 0.9919 0.8884
Li3 Li 0.6837 0.4966 0.0079
Li4 Li 0.1837 0.4966 0.4921
Li5 Li 0.6699 0.5048 0.7931
Li6 Li 0.1699 0.5048 0.7069
Li7 Li 0.6862 0.4919 0.3884
Li8 Li 0.1862 0.4919 0.1116
Li9 Li 0.3163 0.9966 0.9921
Li10 Li 0.8163 0.9966 0.5079
Li11 Li 0.8301 0.0048 0.2931
Li12 Li 0.3301 0.0048 0.2069
Fe1 Fe 0.8186 0.9898 0.1046
Fe2 Fe 0.3186 0.9898 0.3954
Fe3 Fe 0.6814 0.4898 0.6046
Fe4 Fe 0.1814 0.4898 0.8954
B1 B 0.8196 0.0040 0.7074
B2 B 0.3196 0.0040 0.7926
B3 B 0.6804 0.5040 0.2074
B4 B 0.1804 0.5040 0.2926
O1 O 0.6200 0.9109 0.7746
O2 O 0.1200 0.9109 0.7254
O3 O 0.6752 0.9056 0.3977
O4 O 0.1752 0.9056 0.1023
O5 O 0.7168 0.9118 0.0034
O6 O 0.2168 0.9118 0.4966
O7 O 0.6826 0.8112 0.1995
O8 O 0.1826 0.8112 0.3005
O9 O 0.7376 0.8785 0.6275
O10 O 0.2376 0.8785 0.8725
O11 O 0.3800 0.4109 0.2254
O12 O 0.8800 0.4109 0.2746
O13 O 0.8248 0.4056 0.8977
O14 O 0.3248 0.4056 0.6023
O15 O 0.7832 0.4118 0.5034
O16 O 0.2832 0.4118 0.9966
O17 O 0.8174 0.3112 0.6995
O18 O 0.3174 0.3112 0.8005
O19 O 0.7624 0.3785 0.1275
O20 O 0.2624 0.3785 0.3725
# - Volume: 9.4 Å³ per atom
# - Crystal system: orthorhombic
# - Total magnetization: 4.0 μB per formula unit
# - DFT total energy: -6.119 eV/atom